An optimized crystal structure of GdGe2Rh2, computed with meta-GGA r2SCAN.

POSCAR file:
```
GdGe2Rh2
1.0
-2.061 2.061 5.183
2.061 -2.061 5.183
2.061 2.061 -5.183
Rh Gd Ge
2 1 2
direct
0.750 0.250 0.500 Rh
0.250 0.750 0.500 Rh
0.000 0.000 0.000 Gd
0.377 0.377 0.000 Ge
0.623 0.623 0.000 Ge
```

Results
**Formation energy from the elements**: -0.94 eV per atom
**Raw total energy**: -124.13 eV per cell
**Theoretical density**: 9.6 g/cm3
**Crystal system**: tetragonal
**SG**: I4/mmm, No. 139